## Ba2CaWO6 (PBE+U)

Data for an optimized crystal structure of Ba2CaWO6.

Unit cell a=6.0466 b=6.0274 c=6.0274 alpha=59.91 beta=59.82 gamma=59.82
Last column: nearest neighbours and their distance in Å.
Sites, in units of the cell vectors:
O (0.7498, 0.7521, 0.2919)  1 W 1.96
O (0.2502, 0.2479, 0.7081)  1 W 1.96
O (0.7498, 0.2919, 0.7521)  1 W 1.96
O (0.1860, 0.2713, 0.2713)  1 W 1.96
O (0.2502, 0.7081, 0.2479)  1 W 1.96
O (0.8140, 0.7287, 0.7287)  1 W 1.96
W (0.0000, 0.5000, 0.5000)  6 O 1.96
Ba (0.2515, 0.7503, 0.7503)  7 O 2.78-3.03
Ba (0.7485, 0.2497, 0.2497)  7 O 2.78-3.03
Ca (0.5000, 0.0000, 0.0000)  6 O 2.32

Output
DFT formation energy, eV/atom: -3.033
Symmetry: C2/m (12)
Total moment, μB/atom: 0.000

***

## BaCdFeF7 (PBE+U)

Data for an optimized crystal structure of BaCdFeF7.

Unit cell a=7.5515 b=7.5515 c=15.2947 alpha=88.21 beta=88.21 gamma=42.90
Last column: nearest neighbours and their distance in Å.
Sites, in units of the cell vectors:
F (0.1218, 0.5470, 0.2783)  1 Fe 1.98
F (0.0371, 0.8374, 0.6289)  2 Cd 2.20-2.23
F (0.8992, 0.3453, 0.2014)  1 Fe 1.94
F (0.0631, 0.6640, 0.4511)  1 Fe 2.02
F (0.1828, 0.3129, 0.9082)  1 Fe 1.92
F (0.8782, 0.4530, 0.7217)  1 Fe 1.98
F (0.1626, 0.9629, 0.8711)  2 Cd 2.20-2.23
F (0.3831, 0.6043, 0.1561)  1 Fe 1.94
F (0.8172, 0.6871, 0.0918)  1 Fe 1.92
F (0.2553, 0.5720, 0.9827)  1 Fe 1.96
F (0.5470, 0.1218, 0.7783)  1 Fe 1.98
F (0.3129, 0.1828, 0.4082)  1 Fe 1.92
F (0.6169, 0.3957, 0.8439)  1 Fe 1.94
F (0.4280, 0.7447, 0.5173)  1 Fe 1.96
F (0.6043, 0.3831, 0.6561)  1 Fe 1.94
F (0.4530, 0.8782, 0.2217)  1 Fe 1.98
F (0.9629, 0.1626, 0.3711)  2 Cd 2.20-2.23
F (0.7447, 0.4280, 0.0173)  1 Fe 1.96
F (0.6871, 0.8172, 0.5918)  1 Fe 1.92
F (0.8374, 0.0371, 0.1289)  2 Cd 2.20-2.23
F (0.1008, 0.6547, 0.7986)  1 Fe 1.94
F (0.3453, 0.8992, 0.7014)  1 Fe 1.94
F (0.6547, 0.1008, 0.2987)  1 Fe 1.94
F (0.3957, 0.6169, 0.3439)  1 Fe 1.94
F (0.9369, 0.3360, 0.5489)  1 Fe 2.02
F (0.6640, 0.0631, 0.9511)  1 Fe 2.02
F (0.3360, 0.9369, 0.0489)  1 Fe 2.02
F (0.5720, 0.2553, 0.4827)  1 Fe 1.96
Cd (0.0000, 0.0000, 0.0000)  6 F 2.20-2.36
Cd (0.0482, 0.9518, 0.2500)  6 F 2.23-2.38
Cd (0.0000, 0.0000, 0.5000)  6 F 2.20-2.36
Cd (0.9518, 0.0482, 0.7500)  6 F 2.23-2.38
Fe (0.3820, 0.3735, 0.8748)  6 F 1.92-2.02
Fe (0.6180, 0.6265, 0.1252)  6 F 1.92-2.02
Fe (0.3735, 0.3820, 0.3748)  6 F 1.92-2.02
Fe (0.6265, 0.6180, 0.6252)  6 F 1.92-2.02
Ba (0.3503, 0.2685, 0.1234)  7 F 2.68-2.86
Ba (0.6497, 0.7315, 0.8766)  7 F 2.68-2.86
Ba (0.7315, 0.6497, 0.3766)  7 F 2.68-2.86
Ba (0.2685, 0.3503, 0.6234)  7 F 2.68-2.86

Output
DFT formation energy, eV/atom: -3.077
Symmetry: C2/c (15)
Total moment, μB/atom: 0.500

***

## BaVCdF7 (PBE+U)

Data for an optimized crystal structure of BaVCdF7.

Unit cell a=7.6004 b=7.6004 c=15.3782 alpha=88.28 beta=88.28 gamma=42.64
Last column: nearest neighbours and their distance in Å.
Sites, in units of the cell vectors:
V (0.6150, 0.6293, 0.1248)  6 F 1.93-2.01
V (0.6293, 0.6150, 0.6248)  6 F 1.93-2.01
V (0.3850, 0.3707, 0.8752)  6 F 1.93-2.01
V (0.3707, 0.3850, 0.3752)  6 F 1.93-2.01
F (0.1575, 0.9659, 0.8712)  2 Cd 2.20-2.22
F (0.8169, 0.6856, 0.0907)  1 V 1.93
F (0.5765, 0.2527, 0.4834)  1 V 1.99
F (0.3832, 0.6031, 0.1573)  1 V 1.96
F (0.6856, 0.8169, 0.5907)  1 V 1.93
F (0.8784, 0.4538, 0.7231)  1 V 2.00
F (0.7473, 0.4235, 0.0166)  1 V 1.99
F (0.3363, 0.9352, 0.0479)  1 V 2.01
F (0.5462, 0.1216, 0.7769)  1 V 2.00
F (0.1216, 0.5462, 0.2769)  1 V 2.00
F (0.0341, 0.8425, 0.6288)  2 Cd 2.20-2.22
F (0.9659, 0.1575, 0.3712)  2 Cd 2.20-2.22
F (0.0648, 0.6637, 0.4521)  1 V 2.01
F (0.8425, 0.0341, 0.1288)  2 Cd 2.20-2.22
F (0.6545, 0.1013, 0.2975)  1 V 1.97
F (0.6168, 0.3969, 0.8427)  1 V 1.96
F (0.3144, 0.1831, 0.4093)  1 V 1.93
F (0.1013, 0.6545, 0.7975)  1 V 1.97
F (0.4235, 0.7473, 0.5166)  1 V 1.99
F (0.6031, 0.3832, 0.6573)  1 V 1.96
F (0.2527, 0.5765, 0.9834)  1 V 1.99
F (0.8987, 0.3455, 0.2025)  1 V 1.97
F (0.3455, 0.8987, 0.7025)  1 V 1.97
F (0.4538, 0.8784, 0.2231)  1 V 2.00
F (0.1831, 0.3144, 0.9093)  1 V 1.93
F (0.3969, 0.6168, 0.3427)  1 V 1.96
F (0.9352, 0.3363, 0.5479)  1 V 2.01
F (0.6637, 0.0648, 0.9521)  1 V 2.01
Ba (0.7314, 0.6479, 0.3757)  7 F 2.70-2.91
Ba (0.6479, 0.7314, 0.8757)  7 F 2.70-2.91
Ba (0.2686, 0.3521, 0.6243)  7 F 2.70-2.91
Ba (0.3521, 0.2686, 0.1243)  7 F 2.70-2.91
Cd (0.0000, 0.0000, 0.0000)  6 F 2.20-2.36
Cd (0.9545, 0.0455, 0.7500)  6 F 2.22-2.38
Cd (0.0000, 0.0000, 0.5000)  6 F 2.20-2.36
Cd (0.0455, 0.9545, 0.2500)  6 F 2.22-2.38

Output
DFT formation energy, eV/atom: -3.301
Symmetry: C2/c (15)
Total moment, μB/atom: 0.200

***

What did the third record say?
## BaVCdF7 (PBE+U)

Data for an optimized crystal structure of BaVCdF7.

Unit cell a=7.6004 b=7.6004 c=15.3782 alpha=88.28 beta=88.28 gamma=42.64
Last column: nearest neighbours and their distance in Å.
Sites, in units of the cell vectors:
V (0.6150, 0.6293, 0.1248)  6 F 1.93-2.01
V (0.6293, 0.6150, 0.6248)  6 F 1.93-2.01
V (0.3850, 0.3707, 0.8752)  6 F 1.93-2.01
V (0.3707, 0.3850, 0.3752)  6 F 1.93-2.01
F (0.1575, 0.9659, 0.8712)  2 Cd 2.20-2.22
F (0.8169, 0.6856, 0.0907)  1 V 1.93
F (0.5765, 0.2527, 0.4834)  1 V 1.99
F (0.3832, 0.6031, 0.1573)  1 V 1.96
F (0.6856, 0.8169, 0.5907)  1 V 1.93
F (0.8784, 0.4538, 0.7231)  1 V 2.00
F (0.7473, 0.4235, 0.0166)  1 V 1.99
F (0.3363, 0.9352, 0.0479)  1 V 2.01
F (0.5462, 0.1216, 0.7769)  1 V 2.00
F (0.1216, 0.5462, 0.2769)  1 V 2.00
F (0.0341, 0.8425, 0.6288)  2 Cd 2.20-2.22
F (0.9659, 0.1575, 0.3712)  2 Cd 2.20-2.22
F (0.0648, 0.6637, 0.4521)  1 V 2.01
F (0.8425, 0.0341, 0.1288)  2 Cd 2.20-2.22
F (0.6545, 0.1013, 0.2975)  1 V 1.97
F (0.6168, 0.3969, 0.8427)  1 V 1.96
F (0.3144, 0.1831, 0.4093)  1 V 1.93
F (0.1013, 0.6545, 0.7975)  1 V 1.97
F (0.4235, 0.7473, 0.5166)  1 V 1.99
F (0.6031, 0.3832, 0.6573)  1 V 1.96
F (0.2527, 0.5765, 0.9834)  1 V 1.99
F (0.8987, 0.3455, 0.2025)  1 V 1.97
F (0.3455, 0.8987, 0.7025)  1 V 1.97
F (0.4538, 0.8784, 0.2231)  1 V 2.00
F (0.1831, 0.3144, 0.9093)  1 V 1.93
F (0.3969, 0.6168, 0.3427)  1 V 1.96
F (0.9352, 0.3363, 0.5479)  1 V 2.01
F (0.6637, 0.0648, 0.9521)  1 V 2.01
Ba (0.7314, 0.6479, 0.3757)  7 F 2.70-2.91
Ba (0.6479, 0.7314, 0.8757)  7 F 2.70-2.91
Ba (0.2686, 0.3521, 0.6243)  7 F 2.70-2.91
Ba (0.3521, 0.2686, 0.1243)  7 F 2.70-2.91
Cd (0.0000, 0.0000, 0.0000)  6 F 2.20-2.36
Cd (0.9545, 0.0455, 0.7500)  6 F 2.22-2.38
Cd (0.0000, 0.0000, 0.5000)  6 F 2.20-2.36
Cd (0.0455, 0.9545, 0.2500)  6 F 2.22-2.38

Output
DFT formation energy, eV/atom: -3.301
Symmetry: C2/c (15)
Total moment, μB/atom: 0.200

***

> Which of these has the lowest total moment?

Ba2CaWO6